1.
Here is a relaxed Cs2TlInCl6 crystal from the Materials Project. Energies are from PBE.

Values from the calculation:
* calculated density: 3.7 Mg/m³

```
data_Cs2TlInCl6
_chemical_formula_sum 'Cs2 Tl1 In1 Cl6'
_space_group_name_H-M_alt 'P 1'
_space_group_IT_number 1
_space_group_name_Hall 'P 1'
_cell_length_a 7.959
_cell_length_b 7.959
_cell_length_c 7.959
_cell_angle_alpha 60.00
_cell_angle_beta 60.00
_cell_angle_gamma 60.00
loop_
_atom_site_label
_atom_site_fract_x
_atom_site_fract_y
_atom_site_fract_z
Cs1 0.250 0.250 0.250
Cs2 0.750 0.750 0.750
Tl1 0.000 0.000 0.000
In1 0.500 0.500 0.500
Cl1 0.273 0.273 0.727
Cl2 0.273 0.727 0.273
Cl3 0.273 0.727 0.727
Cl4 0.727 0.273 0.273
Cl5 0.727 0.273 0.727
Cl6 0.727 0.727 0.273
```



2.
Here is a relaxed Mg3BeAl8O16 crystal from the Materials Project. Energies are from PBE.

Values from the calculation:
* calculated density: 3.5 Mg/m³
* maximum piezoelectric response: 0.08 C/m²

```
data_Mg3BeAl8O16
_chemical_formula_sum 'Mg6 Be2 Al16 O32'
_space_group_name_H-M_alt 'P 1'
_space_group_IT_number 1
_space_group_name_Hall 'P 1'
_cell_length_a 5.740
_cell_length_b 5.740
_cell_length_c 18.508
_cell_angle_alpha 90.00
_cell_angle_beta 90.00
_cell_angle_gamma 120.00
loop_
_atom_site_label
_atom_site_fract_x
_atom_site_fract_y
_atom_site_fract_z
Mg1 0.000 0.000 0.000
Mg2 0.000 0.000 0.201
Mg3 0.000 0.000 0.500
Mg4 0.000 0.000 0.701
Mg5 0.333 0.667 0.266
Mg6 0.667 0.333 0.766
Be1 0.333 0.667 0.004
Be2 0.667 0.333 0.504
Al1 0.003 0.502 0.106
Al2 0.167 0.334 0.861
Al3 0.167 0.833 0.861
Al4 0.333 0.667 0.450
Al5 0.333 0.667 0.733
Al6 0.334 0.167 0.361
Al7 0.498 0.502 0.106
Al8 0.498 0.997 0.106
Al9 0.502 0.003 0.606
Al10 0.502 0.498 0.606
Al11 0.666 0.833 0.861
Al12 0.667 0.333 0.233
Al13 0.667 0.333 0.950
Al14 0.833 0.167 0.361
Al15 0.833 0.666 0.361
Al16 0.997 0.498 0.606
O1 0.000 0.000 0.309
O2 0.000 0.000 0.809
O3 0.039 0.520 0.800
O4 0.162 0.324 0.417
O5 0.162 0.838 0.417
O6 0.186 0.371 0.047
O7 0.186 0.372 0.665
O8 0.186 0.814 0.047
O9 0.186 0.814 0.665
O10 0.324 0.162 0.917
O11 0.333 0.667 0.161
O12 0.333 0.667 0.548
O13 0.333 0.667 0.916
O14 0.371 0.186 0.547
O15 0.372 0.186 0.165
O16 0.480 0.520 0.800
O17 0.480 0.961 0.800
O18 0.520 0.039 0.300
O19 0.520 0.480 0.300
O20 0.628 0.814 0.665
O21 0.629 0.814 0.047
O22 0.667 0.333 0.048
O23 0.667 0.333 0.416
O24 0.667 0.333 0.661
O25 0.676 0.838 0.417
O26 0.814 0.186 0.165
O27 0.814 0.186 0.547
O28 0.814 0.628 0.165
O29 0.814 0.629 0.547
O30 0.838 0.162 0.917
O31 0.838 0.676 0.917
O32 0.961 0.480 0.300
```



3.
Here is a relaxed U2Ge4Mo3 crystal from the Materials Project. Energies are from PBE.

Values from the calculation:
* calculated density: 11.0 Mg/m³

```
data_U2Ge4Mo3
_chemical_formula_sum 'U4 Ge8 Mo6'
_space_group_name_H-M_alt 'P 1'
_space_group_IT_number 1
_space_group_name_Hall 'P 1'
_cell_length_a 7.007
_cell_length_b 6.990
_cell_length_c 6.955
_cell_angle_alpha 90.00
_cell_angle_beta 110.31
_cell_angle_gamma 90.00
loop_
_atom_site_label
_atom_site_fract_x
_atom_site_fract_y
_atom_site_fract_z
U1 0.186 0.165 0.050
U2 0.186 0.335 0.550
U3 0.814 0.665 0.450
U4 0.814 0.835 0.950
Ge1 0.094 0.549 0.863
Ge2 0.094 0.951 0.363
Ge3 0.495 0.641 0.639
Ge4 0.495 0.859 0.139
Ge5 0.505 0.141 0.861
Ge6 0.505 0.359 0.361
Ge7 0.906 0.049 0.637
Ge8 0.906 0.451 0.137
Mo1 0.242 0.653 0.255
Mo2 0.242 0.847 0.755
Mo3 0.500 0.000 0.500
Mo4 0.500 0.500 0.000
Mo5 0.758 0.153 0.245
Mo6 0.758 0.347 0.745
```



4.
Here is a relaxed Ce3Te4 crystal from the Materials Project. Energies are from PBE.

Values from the calculation:
* calculated density: 7.1 Mg/m³

```
data_Ce3Te4
_chemical_formula_sum 'Ce6 Te8'
_space_group_name_H-M_alt 'P 1'
_space_group_IT_number 1
_space_group_name_Hall 'P 1'
_cell_length_a 8.263
_cell_length_b 8.263
_cell_length_c 8.263
_cell_angle_alpha 109.47
_cell_angle_beta 109.47
_cell_angle_gamma 109.47
loop_
_atom_site_label
_atom_site_fract_x
_atom_site_fract_y
_atom_site_fract_z
Ce1 0.125 0.750 0.875
Ce2 0.250 0.625 0.375
Ce3 0.375 0.250 0.625
Ce4 0.625 0.375 0.250
Ce5 0.750 0.875 0.125
Ce6 0.875 0.125 0.750
Te1 0.000 0.347 0.500
Te2 0.000 0.847 0.500
Te3 0.153 0.153 0.153
Te4 0.347 0.500 0.000
Te5 0.500 0.000 0.347
Te6 0.500 0.000 0.847
Te7 0.653 0.653 0.653
Te8 0.847 0.500 0.000
```



5.
Here is a relaxed KMg3AlSi3H2O12 crystal from the Materials Project. Energies are from PBE.

Values from the calculation:
* calculated density: 2.7 Mg/m³

```
data_KMg3AlSi3H2O12
_chemical_formula_sum 'K1 Mg3 Al1 Si3 H2 O12'
_space_group_name_H-M_alt 'P 1'
_space_group_IT_number 1
_space_group_name_Hall 'P 1'
_cell_length_a 5.361
_cell_length_b 5.364
_cell_length_c 10.579
_cell_angle_alpha 79.11
_cell_angle_beta 84.57
_cell_angle_gamma 60.02
loop_
_atom_site_label
_atom_site_fract_x
_atom_site_fract_y
_atom_site_fract_z
K1 0.000 0.000 0.000
Mg1 0.338 0.832 0.528
Mg2 0.667 0.165 0.527
Mg3 0.999 0.509 0.527
Al1 0.667 0.739 0.790
Si1 0.333 0.272 0.256
Si2 0.335 0.404 0.794
Si3 0.666 0.604 0.256
H1 0.000 0.102 0.712
H2 0.013 0.908 0.326
O1 0.001 0.138 0.619
O2 0.006 0.874 0.419
O3 0.014 0.472 0.849
O4 0.332 0.218 0.411
O5 0.336 0.462 0.634
O6 0.422 0.615 0.850
O7 0.488 0.960 0.197
O8 0.510 0.450 0.196
O9 0.566 0.063 0.850
O10 0.665 0.544 0.411
O11 0.666 0.801 0.621
O12 0.999 0.472 0.197
```



6.
Here is a relaxed Pu2S3 crystal from the Materials Project. Energies are from PBE.

Values from the calculation:
* calculated density: 7.5 Mg/m³

```
data_Pu2S3
_chemical_formula_sum 'Pu4 S6'
_space_group_name_H-M_alt 'P 1'
_space_group_IT_number 1
_space_group_name_Hall 'P 1'
_cell_length_a 7.317
_cell_length_b 7.317
_cell_length_c 7.317
_cell_angle_alpha 57.00
_cell_angle_beta 57.00
_cell_angle_gamma 57.00
loop_
_atom_site_label
_atom_site_fract_x
_atom_site_fract_y
_atom_site_fract_z
Pu1 0.148 0.148 0.148
Pu2 0.352 0.352 0.352
Pu3 0.648 0.648 0.648
Pu4 0.852 0.852 0.852
S1 0.044 0.750 0.456
S2 0.250 0.544 0.956
S3 0.456 0.044 0.750
S4 0.544 0.956 0.250
S5 0.750 0.456 0.044
S6 0.956 0.250 0.544
```



7.
Here is a relaxed CaSmTi4O12 crystal from the Materials Project. Energies are from PBE.

Values from the calculation:
* calculated density: 4.1 Mg/m³

```
data_CaSmTi4O12
_chemical_formula_sum 'Ca1 Sm1 Ti4 O12'
_space_group_name_H-M_alt 'P 1'
_space_group_IT_number 1
_space_group_name_Hall 'P 1'
_cell_length_a 7.743
_cell_length_b 5.446
_cell_length_c 5.446
_cell_angle_alpha 90.00
_cell_angle_beta 90.00
_cell_angle_gamma 90.00
loop_
_atom_site_label
_atom_site_fract_x
_atom_site_fract_y
_atom_site_fract_z
Ca1 0.000 0.000 0.000
Sm1 0.500 0.539 0.539
Ti1 0.246 0.027 0.510
Ti2 0.246 0.510 0.027
Ti3 0.754 0.027 0.510
Ti4 0.754 0.510 0.027
O1 0.000 0.002 0.563
O2 0.000 0.563 0.002
O3 0.211 0.226 0.226
O4 0.266 0.299 0.735
O5 0.266 0.735 0.299
O6 0.281 0.778 0.778
O7 0.500 0.062 0.488
O8 0.500 0.488 0.062
O9 0.719 0.778 0.778
O10 0.734 0.299 0.735
O11 0.734 0.735 0.299
O12 0.789 0.226 0.226
```



8.
Here is a relaxed Na10Zr4Ga4Si7S5O48 crystal from the Materials Project. Energies are from PBE.

Values from the calculation:
* calculated density: 3.1 Mg/m³

```
data_Na10Zr4Ga4Si7S5O48
_chemical_formula_sum 'Na30 Zr12 Ga12 Si21 S15 O144'
_space_group_name_H-M_alt 'P 1'
_space_group_IT_number 1
_space_group_name_Hall 'P 1'
_cell_length_a 8.960
_cell_length_b 15.660
_cell_length_c 22.687
_cell_angle_alpha 91.25
_cell_angle_beta 90.29
_cell_angle_gamma 90.08
loop_
_atom_site_label
_atom_site_fract_x
_atom_site_fract_y
_atom_site_fract_z
Na1 0.000 0.000 0.000
Na2 0.001 0.333 0.336
Na3 0.001 0.665 0.668
Na4 0.123 0.178 0.412
Na5 0.128 0.516 0.746
Na6 0.135 0.841 0.076
Na7 0.142 0.179 0.908
Na8 0.143 0.520 0.244
Na9 0.145 0.844 0.579
Na10 0.269 0.000 0.503
Na11 0.312 0.995 0.160
Na12 0.318 0.359 0.159
Na13 0.320 0.690 0.494
Na14 0.447 0.191 0.992
Na15 0.448 0.525 0.327
Na16 0.451 0.162 0.328
Na17 0.452 0.496 0.660
Na18 0.500 0.500 0.000
Na19 0.616 0.016 0.742
Na20 0.632 0.679 0.413
Na21 0.635 0.340 0.077
Na22 0.636 0.346 0.574
Na23 0.642 0.679 0.907
Na24 0.650 0.017 0.243
Na25 0.813 0.493 0.160
Na26 0.818 0.860 0.157
Na27 0.819 0.192 0.493
Na28 0.948 0.691 0.991
Na29 0.949 0.358 0.657
Na30 0.953 0.994 0.660
Zr1 0.121 0.506 0.893
Zr2 0.123 0.171 0.561
Zr3 0.130 0.833 0.228
Zr4 0.142 0.505 0.396
Zr5 0.143 0.170 0.061
Zr6 0.145 0.836 0.727
Zr7 0.621 0.005 0.893
Zr8 0.623 0.333 0.229
Zr9 0.623 0.668 0.561
Zr10 0.635 0.330 0.728
Zr11 0.643 0.671 0.061
Zr12 0.646 0.001 0.396
Ga1 0.114 0.843 0.932
Ga2 0.128 0.168 0.266
Ga3 0.133 0.504 0.596
Ga4 0.136 0.508 0.098
Ga5 0.149 0.161 0.763
Ga6 0.150 0.840 0.436
Ga7 0.614 0.342 0.933
Ga8 0.621 0.668 0.261
Ga9 0.629 0.004 0.600
Ga10 0.634 0.340 0.434
Ga11 0.637 0.009 0.098
Ga12 0.648 0.664 0.763
Si1 0.276 0.362 0.998
Si2 0.289 0.696 0.333
Si3 0.291 0.027 0.663
Si4 0.341 0.335 0.332
Si5 0.343 0.997 0.999
Si6 0.346 0.669 0.667
Si7 0.428 0.167 0.167
Si8 0.429 0.498 0.500
Si9 0.476 0.194 0.833
Si10 0.478 0.527 0.164
Si11 0.491 0.861 0.499
Si12 0.776 0.862 0.998
Si13 0.784 0.193 0.333
Si14 0.787 0.526 0.664
Si15 0.843 0.497 0.999
Si16 0.845 0.167 0.668
Si17 0.923 0.667 0.167
Si18 0.926 0.997 0.500
Si19 0.978 0.696 0.831
Si20 0.980 0.029 0.165
Si21 0.982 0.362 0.498
S1 0.275 0.653 0.998
S2 0.276 0.318 0.666
S3 0.277 0.986 0.332
S4 0.425 0.834 0.833
S5 0.490 0.488 0.832
S6 0.490 0.818 0.166
S7 0.491 0.152 0.498
S8 0.774 0.819 0.666
S9 0.776 0.153 0.998
S10 0.777 0.488 0.331
S11 0.841 0.834 0.331
S12 0.924 0.335 0.832
S13 0.988 0.654 0.498
S14 0.989 0.319 0.166
S15 0.990 0.988 0.832
O1 0.013 0.265 0.112
O2 0.014 0.600 0.445
O3 0.016 0.419 0.558
O4 0.017 0.089 0.222
O5 0.018 0.259 0.826
O6 0.018 0.934 0.778
O7 0.019 0.752 0.892
O8 0.020 0.414 0.835
O9 0.023 0.581 0.158
O10 0.024 0.756 0.171
O11 0.035 0.084 0.502
O12 0.037 0.916 0.487
O13 0.050 0.406 0.439
O14 0.052 0.741 0.773
O15 0.055 0.281 0.219
O16 0.055 0.948 0.886
O17 0.056 0.068 0.105
O18 0.057 0.073 0.828
O19 0.057 0.616 0.552
O20 0.059 0.404 0.161
O21 0.059 0.601 0.836
O22 0.060 0.265 0.502
O23 0.062 0.739 0.493
O24 0.064 0.934 0.172
O25 0.196 0.935 0.671
O26 0.206 0.265 0.002
O27 0.206 0.615 0.051
O28 0.208 0.738 0.992
O29 0.209 0.405 0.662
O30 0.210 0.068 0.604
O31 0.210 0.279 0.718
O32 0.210 0.411 0.941
O33 0.212 0.073 0.329
O34 0.214 0.600 0.336
O35 0.214 0.742 0.276
O36 0.214 0.946 0.385
O37 0.229 0.751 0.670
O38 0.230 0.916 0.987
O39 0.231 0.419 0.336
O40 0.232 0.084 0.003
O41 0.237 0.249 0.323
O42 0.239 0.583 0.659
O43 0.249 0.753 0.392
O44 0.249 0.935 0.278
O45 0.255 0.423 0.058
O46 0.255 0.598 0.945
O47 0.256 0.267 0.612
O48 0.259 0.085 0.721
O49 0.294 0.187 0.825
O50 0.298 0.511 0.158
O51 0.306 0.850 0.493
O52 0.323 0.154 0.224
O53 0.324 0.492 0.559
O54 0.325 0.188 0.108
O55 0.325 0.495 0.836
O56 0.325 0.832 0.171
O57 0.326 0.159 0.503
O58 0.326 0.522 0.442
O59 0.329 0.828 0.885
O60 0.333 0.850 0.779
O61 0.437 0.358 0.273
O62 0.438 0.688 0.606
O63 0.440 0.660 0.004
O64 0.442 0.333 0.672
O65 0.442 0.989 0.059
O66 0.442 0.997 0.336
O67 0.448 0.024 0.944
O68 0.456 0.320 0.386
O69 0.459 0.655 0.722
O70 0.460 0.350 0.993
O71 0.469 0.015 0.656
O72 0.472 0.683 0.325
O73 0.508 0.582 0.224
O74 0.510 0.766 0.112
O75 0.511 0.099 0.443
O76 0.512 0.928 0.554
O77 0.517 0.252 0.893
O78 0.519 0.435 0.778
O79 0.519 0.759 0.826
O80 0.521 0.913 0.836
O81 0.526 0.080 0.157
O82 0.527 0.588 0.502
O83 0.528 0.255 0.168
O84 0.531 0.414 0.490
O85 0.553 0.241 0.777
O86 0.554 0.448 0.885
O87 0.555 0.571 0.106
O88 0.555 0.907 0.439
O89 0.556 0.778 0.218
O90 0.558 0.100 0.837
O91 0.558 0.573 0.828
O92 0.559 0.903 0.162
O93 0.560 0.112 0.549
O94 0.560 0.237 0.492
O95 0.561 0.765 0.502
O96 0.567 0.434 0.168
O97 0.694 0.100 0.336
O98 0.704 0.432 0.672
O99 0.705 0.239 0.276
O100 0.706 0.115 0.051
O101 0.706 0.571 0.608
O102 0.706 0.765 0.002
O103 0.707 0.573 0.326
O104 0.708 0.238 0.992
O105 0.708 0.447 0.382
O106 0.711 0.779 0.718
O107 0.711 0.911 0.941
O108 0.713 0.905 0.661
O109 0.730 0.416 0.987
O110 0.732 0.584 0.003
O111 0.744 0.256 0.671
O112 0.746 0.081 0.658
O113 0.746 0.913 0.335
O114 0.747 0.759 0.324
O115 0.755 0.098 0.945
O116 0.755 0.435 0.276
O117 0.755 0.922 0.058
O118 0.756 0.253 0.392
O119 0.756 0.765 0.613
O120 0.769 0.590 0.721
O121 0.795 0.688 0.824
O122 0.800 0.011 0.158
O123 0.801 0.344 0.492
O124 0.809 0.657 0.222
O125 0.822 0.024 0.443
O126 0.825 0.333 0.170
O127 0.825 0.989 0.559
O128 0.825 0.995 0.837
O129 0.826 0.665 0.504
O130 0.827 0.328 0.884
O131 0.827 0.690 0.107
O132 0.834 0.350 0.777
O133 0.932 0.850 0.277
O134 0.938 0.827 0.383
O135 0.940 0.160 0.004
O136 0.940 0.191 0.608
O137 0.942 0.489 0.059
O138 0.942 0.495 0.336
O139 0.942 0.829 0.672
O140 0.948 0.524 0.944
O141 0.960 0.157 0.723
O142 0.961 0.850 0.993
O143 0.965 0.187 0.324
O144 0.969 0.514 0.657
```



9.
Here is a relaxed NaCd3 crystal from the Materials Project. Energies are from PBE.

Values from the calculation:
* calculated density: 6.3 Mg/m³

```
data_NaCd3
_chemical_formula_sum 'Na2 Cd6'
_space_group_name_H-M_alt 'P 1'
_space_group_IT_number 1
_space_group_name_Hall 'P 1'
_cell_length_a 6.478
_cell_length_b 6.478
_cell_length_c 5.263
_cell_angle_alpha 90.00
_cell_angle_beta 90.00
_cell_angle_gamma 120.00
loop_
_atom_site_label
_atom_site_fract_x
_atom_site_fract_y
_atom_site_fract_z
Na1 0.333 0.667 0.250
Na2 0.667 0.333 0.750
Cd1 0.165 0.331 0.750
Cd2 0.165 0.835 0.750
Cd3 0.331 0.165 0.250
Cd4 0.669 0.835 0.750
Cd5 0.835 0.165 0.250
Cd6 0.835 0.669 0.250
```



ΔE_f (computed, kJ/mol of formula units): -1788 -9110 -211 -1112 -6287 -955 -5464 -19765 -23
Final energy (computed, eV per atom): -3.28 -7.18 -8.42 -5.74 -6.77 -9.87 -8.11 -6.76 -1.08